Si3Te2O12: optimized geometry, PBE.

```
Si3Te2O12
1.0
-5.933 5.933 5.933
5.933 -5.933 5.933
5.933 5.933 -5.933
Si Te O
12 8 48
Direct
0.125 0.750 0.875 Si
0.875 0.250 0.125 Si
0.750 0.375 0.625 Si
0.125 0.875 0.250 Si
0.250 0.125 0.875 Si
0.375 0.625 0.750 Si
0.375 0.250 0.625 Si
0.875 0.125 0.750 Si
0.625 0.375 0.250 Si
0.750 0.875 0.125 Si
0.250 0.625 0.375 Si
0.625 0.750 0.375 Si
0.500 0.000 0.000 Te
0.500 0.500 0.000 Te
0.000 0.500 0.500 Te
0.000 0.000 0.500 Te
0.500 0.500 0.500 Te
0.000 0.500 0.000 Te
0.500 0.000 0.500 Te
0.000 0.000 0.000 Te
0.584 0.894 0.387 O
0.387 0.584 0.894 O
0.303 0.310 0.916 O
0.493 0.606 0.190 O
0.310 0.894 0.007 O
0.113 0.007 0.197 O
0.387 0.303 0.493 O
0.894 0.387 0.584 O
0.190 0.197 0.584 O
0.493 0.387 0.303 O
0.894 0.007 0.310 O
0.606 0.916 0.113 O
0.916 0.113 0.606 O
0.303 0.493 0.387 O
0.584 0.190 0.197 O
0.197 0.584 0.190 O
0.007 0.310 0.894 O
0.916 0.303 0.310 O
0.007 0.197 0.113 O
0.810 0.803 0.416 O
0.190 0.493 0.606 O
0.606 0.190 0.493 O
0.197 0.113 0.007 O
0.113 0.606 0.916 O
0.416 0.106 0.613 O
0.613 0.416 0.106 O
0.697 0.690 0.084 O
0.507 0.394 0.810 O
0.690 0.106 0.993 O
0.887 0.993 0.803 O
0.613 0.697 0.507 O
0.106 0.613 0.416 O
0.887 0.394 0.084 O
0.803 0.887 0.993 O
0.394 0.810 0.507 O
0.690 0.084 0.697 O
0.810 0.507 0.394 O
0.993 0.803 0.887 O
0.084 0.697 0.690 O
0.993 0.690 0.106 O
0.803 0.416 0.810 O
0.416 0.810 0.803 O
0.697 0.507 0.613 O
0.084 0.887 0.394 O
0.394 0.084 0.887 O
0.106 0.993 0.690 O
0.507 0.613 0.697 O
0.310 0.916 0.303 O
```

Summary:
Crystal system: cubic
Energy of formation, eV per atom: -2.231
Total energy, eV per cell: -446.47
Corrected total energy (MP2020 scheme), eV per atom: -7.051
Magnetic moment, μB/atom: 0.00


Si2TeO7: optimized geometry, PBE.

```
Si2TeO7
1.0
-1.153 -2.399 -9.241
6.185 -3.350 -6.558
-0.211 -10.215 -3.042
Si Te O
8 4 28
Direct
0.527 0.133 0.665 Si
0.133 0.527 0.165 Si
0.541 0.190 0.099 Si
0.190 0.541 0.599 Si
0.867 0.473 0.835 Si
0.459 0.810 0.901 Si
0.810 0.459 0.401 Si
0.473 0.867 0.335 Si
0.792 0.208 0.750 Te
0.208 0.792 0.250 Te
0.000 0.000 0.000 Te
0.000 0.000 0.500 Te
0.880 0.263 0.374 O
0.950 0.923 0.401 O
0.447 0.712 0.089 O
0.923 0.950 0.901 O
0.261 0.912 0.332 O
0.007 0.522 0.668 O
0.712 0.447 0.589 O
0.088 0.739 0.168 O
0.993 0.478 0.332 O
0.635 0.643 0.322 O
0.050 0.077 0.599 O
0.739 0.088 0.668 O
0.478 0.993 0.832 O
0.263 0.880 0.874 O
0.643 0.635 0.822 O
0.912 0.261 0.832 O
0.904 0.421 0.985 O
0.365 0.357 0.678 O
0.579 0.096 0.515 O
0.357 0.365 0.178 O
0.522 0.007 0.168 O
0.077 0.050 0.099 O
0.421 0.904 0.485 O
0.553 0.288 0.911 O
0.096 0.579 0.015 O
0.288 0.553 0.411 O
0.737 0.120 0.126 O
0.120 0.737 0.626 O
```

Summary:
Crystal system: monoclinic
Energy of formation, eV per atom: -2.199
Total energy, eV per cell: -263.25
Corrected total energy (MP2020 scheme), eV per atom: -7.062
Magnetic moment, μB/atom: 0.00


ThSiO3: optimized geometry, PBE.

```
ThSiO3
1.0
3.884 0.000 0.000
0.000 3.884 0.000
0.000 0.000 3.884
Th Si O
1 1 3
Direct
0.000 0.000 0.000 Th
0.500 0.500 0.500 Si
0.500 0.500 0.000 O
0.500 0.000 0.500 O
0.000 0.500 0.500 O
```

Summary:
Crystal system: cubic
Energy of formation, eV per atom: -2.498
Total energy, eV per cell: -38.11
Corrected total energy (MP2020 scheme), eV per atom: -8.035
Magnetic moment, μB/atom: 0.01


- What is the formula in the second record?
  Si2TeO7


- Which of these has the lowest corrected total energy (MP2020 scheme)?
  ThSiO3


- Which value of energy of formation does entry 2 give?
  -2.199 eV per atom